Below is crystalline Nd3Fe5O12 at its relaxed geometry, with properties calculated at the PBE with a Hubbard U level.

Structure (CIF):
```
data_Nd3Fe5O12
_chemical_formula_sum 'Nd24 Fe40 O96'
_symmetry_space_group_name_H-M 'I a -3 d'
_symmetry_Int_Tables_number 230
_symmetry_space_group_name_Hall '-I 4bd 2c 3'
_cell_length_a 12.7814
_cell_length_b 12.7814
_cell_length_c 12.7814
_cell_angle_alpha 90.00
_cell_angle_beta 90.00
_cell_angle_gamma 90.00
loop_
_atom_site_label
_atom_site_type_symbol
_atom_site_fract_x
_atom_site_fract_y
_atom_site_fract_z
Nd1 Nd 0.0000 0.2500 0.1250
Fe1 Fe 0.0000 0.0000 0.0000
Fe2 Fe 0.0000 0.2500 0.3750
O1 O 0.0284 0.0544 0.6496
```

Summary:
energy relative to the elements = -57.6 kcal/mol of atoms
V = 2088.0 Å³ per cell
mass density = 5.8 g cm⁻³

Below is crystalline Li3MnCo2O6 at its relaxed geometry, with properties calculated at the PBE with a Hubbard U level.

Structure (CIF):
```
data_Li3MnCo2O6
_chemical_formula_sum 'Li6 Mn2 Co4 O12'
_symmetry_space_group_name_H-M 'P -1'
_symmetry_Int_Tables_number 2
_cell_length_a 5.0923
_cell_length_b 6.4279
_cell_length_c 6.9102
_cell_angle_alpha 84.37
_cell_angle_beta 79.81
_cell_angle_gamma 84.57
loop_
_symmetry_equiv_pos_as_xyz
'x,y,z'
'-x,-y,-z'
loop_
_atom_site_label
_atom_site_type_symbol
_atom_site_fract_x
_atom_site_fract_y
_atom_site_fract_z
Li1 Li 0.0000 0.0000 0.0000
Li2 Li 0.0008 0.6679 0.3321
Li3 Li 0.4987 0.8292 0.1718
Li4 Li 0.5000 0.5000 0.5000
Mn1 Mn 0.2562 0.2497 0.2514
Co1 Co 0.2460 0.5838 0.9162
Co2 Co 0.2482 0.9213 0.5843
O1 O 0.1086 0.3139 0.9611
O2 O 0.1112 0.6450 0.6264
O3 O 0.1335 0.9711 0.2967
O4 O 0.3727 0.1914 0.5448
O5 O 0.3759 0.8575 0.8670
O6 O 0.3961 0.5232 0.2014
```

Summary:
energy relative to the elements = -41.7 kcal/mol of atoms
relative energy among the computed polymorphs = 0.027 eV/atom
V = 220.9 Å³ per cell
mass density = 4.4 g cm⁻³

Below is crystalline Li7Mn5O12 at its relaxed geometry, with properties calculated at the PBE with a Hubbard U level.

Structure (CIF):
```
data_Li7Mn5O12
_chemical_formula_sum 'Li14 Mn10 O24'
_symmetry_space_group_name_H-M 'P 1'
_symmetry_Int_Tables_number 1
_cell_length_a 6.4535
_cell_length_b 7.6489
_cell_length_c 9.2840
_cell_angle_alpha 88.89
_cell_angle_beta 81.98
_cell_angle_gamma 76.24
loop_
_symmetry_equiv_pos_as_xyz
'x,y,z'
loop_
_atom_site_label
_atom_site_type_symbol
_atom_site_fract_x
_atom_site_fract_y
_atom_site_fract_z
Li1 Li 0.0000 0.0000 0.0000
Li2 Li 0.0514 0.1569 0.5472
Li3 Li 0.1261 0.5022 0.6229
Li4 Li 0.2073 0.8354 0.7281
Li5 Li 0.2866 0.1630 0.7904
Li6 Li 0.3753 0.5114 0.8677
Li7 Li 0.4440 0.8471 0.9594
Li8 Li 0.4995 0.0006 0.5004
Li9 Li 0.5514 0.1569 0.0464
Li10 Li 0.6261 0.5013 0.1227
Li11 Li 0.7081 0.8354 0.2282
Li12 Li 0.7867 0.1626 0.2900
Li13 Li 0.8755 0.5121 0.3685
Li14 Li 0.9444 0.8473 0.4595
Mn1 Mn 0.0837 0.3317 0.0894
Mn2 Mn 0.1621 0.6762 0.1637
Mn3 Mn 0.2472 0.0036 0.2533
Mn4 Mn 0.3351 0.3331 0.3425
Mn5 Mn 0.4180 0.6726 0.4165
Mn6 Mn 0.5838 0.3327 0.5884
Mn7 Mn 0.6619 0.6773 0.6642
Mn8 Mn 0.7466 0.0031 0.7532
Mn9 Mn 0.8347 0.3324 0.8423
Mn10 Mn 0.9178 0.6715 0.9173
O1 O 0.9997 0.0957 0.7732
O2 O 0.0809 0.2417 0.3233
O3 O 0.0873 0.4193 0.8540
O4 O 0.1668 0.5706 0.3998
O5 O 0.1751 0.7424 0.9368
O6 O 0.2372 0.9159 0.4515
O7 O 0.2583 0.0909 0.0519
O8 O 0.3269 0.2640 0.5443
O9 O 0.3344 0.4193 0.1348
O10 O 0.4143 0.5798 0.6488
O11 O 0.4141 0.7686 0.1834
O12 O 0.4918 0.9190 0.7325
O13 O 0.4996 0.0961 0.2733
O14 O 0.5804 0.2417 0.8234
O15 O 0.5875 0.4204 0.3539
O16 O 0.6666 0.5703 0.8997
O17 O 0.6753 0.7432 0.4371
O18 O 0.7377 0.9144 0.9512
O19 O 0.7571 0.0919 0.5523
O20 O 0.8269 0.2634 0.0445
O21 O 0.8341 0.4196 0.6347
O22 O 0.9145 0.5789 0.1489
O23 O 0.9144 0.7688 0.6835
O24 O 0.9924 0.9185 0.2324
```

Summary:
energy relative to the elements = -49.4 kcal/mol of atoms
relative energy among the computed polymorphs = 0.014 eV/atom
V = 440.7 Å³ per cell
mass density = 3.9 g cm⁻³

Below is crystalline MgCo2S2O10 at its relaxed geometry, with properties calculated at the PBE with a Hubbard U level.

Structure (CIF):
```
data_MgCo2S2O10
_chemical_formula_sum 'Mg1 Co2 S2 O10'
_symmetry_space_group_name_H-M 'P 1'
_symmetry_Int_Tables_number 1
_cell_length_a 5.3110
_cell_length_b 5.5697
_cell_length_c 6.8480
_cell_angle_alpha 107.00
_cell_angle_beta 106.80
_cell_angle_gamma 95.52
loop_
_symmetry_equiv_pos_as_xyz
'x,y,z'
loop_
_atom_site_label
_atom_site_type_symbol
_atom_site_fract_x
_atom_site_fract_y
_atom_site_fract_z
Mg1 Mg 0.0000 0.0000 0.0000
Co1 Co 0.7512 0.3716 0.7778
Co2 Co 0.7822 0.4215 0.2978
S1 S 0.1115 0.0066 0.5415
S2 S 0.4378 0.7698 0.0440
O1 O 0.0156 0.1085 0.3587
O2 O 0.0995 0.7280 0.4520
O3 O 0.1543 0.6610 0.8952
O4 O 0.3854 0.1355 0.6836
O5 O 0.4319 0.0484 0.1360
O6 O 0.5080 0.6456 0.2089
O7 O 0.6350 0.7408 0.9223
O8 O 0.6950 0.4420 0.5360
O9 O 0.8570 0.3206 0.0451
O10 O 0.9327 0.0504 0.6816
```

Summary:
energy relative to the elements = -40.8 kcal/mol of atoms
V = 181.8 Å³ per cell
mass density = 3.3 g cm⁻³

Below is crystalline Gd2NiRuO6 at its relaxed geometry, with properties calculated at the PBE with a Hubbard U level.

Structure (CIF):
```
data_Gd2NiRuO6
_chemical_formula_sum 'Gd4 Ni2 Ru2 O12'
_symmetry_space_group_name_H-M 'P 1 21/c 1'
_symmetry_Int_Tables_number 14
_cell_length_a 5.3655
_cell_length_b 5.7387
_cell_length_c 9.3722
_cell_angle_alpha 90.00
_cell_angle_beta 124.56
_cell_angle_gamma 90.00
loop_
_symmetry_equiv_pos_as_xyz
'x,y,z'
'-x,-y,-z'
'-x,y+1/2,-z+1/2'
'x,-y+1/2,z+1/2'
loop_
_atom_site_label
_atom_site_type_symbol
_atom_site_fract_x
_atom_site_fract_y
_atom_site_fract_z
Gd1 Gd 0.2250 0.0713 0.2471
Ni1 Ni 0.0000 0.0000 0.5000
Ru1 Ru 0.5000 0.0000 0.0000
O1 O 0.1385 0.1919 0.9466
O2 O 0.2513 0.7034 0.9367
O3 O 0.3695 0.0446 0.7527
```

Summary:
energy relative to the elements = -60.0 kcal/mol of atoms
V = 237.7 Å³ per cell
mass density = 8.0 g cm⁻³